[1]
First-principles (GGA-PBE) data for crystalline Dy3Ge13Ru4 at its relaxed geometry, as listed in the Materials Project database.

The structure in extended XYZ format:
```
40
Lattice="9.1027 0.0000 0.0000 0.0000 9.1027 0.0000 0.0000 0.0000 9.1027" Properties=species:S:1:pos:R:3 pbc="T T T"
Dy 0.0000 2.2757 4.5513
Dy 0.0000 6.8270 4.5513
Dy 2.2757 4.5513 0.0000
Dy 4.5513 0.0000 2.2757
Dy 4.5513 0.0000 6.8270
Dy 6.8270 4.5513 0.0000
Ge 0.0000 0.0000 0.0000
Ge 0.0000 2.7857 1.3580
Ge 0.0000 2.7857 7.7447
Ge 0.0000 6.3170 1.3580
Ge 0.0000 6.3170 7.7447
Ge 1.3580 0.0000 2.7857
Ge 1.3580 0.0000 6.3170
Ge 1.7657 4.5513 3.1934
Ge 1.7657 4.5513 5.9093
Ge 2.7857 1.3580 0.0000
Ge 2.7857 7.7447 0.0000
Ge 3.1934 1.7657 4.5513
Ge 3.1934 7.3370 4.5513
Ge 4.5513 3.1934 1.7657
Ge 4.5513 3.1934 7.3370
Ge 4.5513 4.5513 4.5513
Ge 4.5513 5.9093 1.7657
Ge 4.5513 5.9093 7.3370
Ge 5.9093 1.7657 4.5513
Ge 5.9093 7.3370 4.5513
Ge 6.3170 1.3580 0.0000
Ge 6.3170 7.7447 0.0000
Ge 7.3370 4.5513 3.1934
Ge 7.3370 4.5513 5.9093
Ge 7.7447 0.0000 2.7857
Ge 7.7447 0.0000 6.3170
Ru 2.2757 2.2757 2.2757
Ru 2.2757 2.2757 6.8270
Ru 2.2757 6.8270 2.2757
Ru 2.2757 6.8270 6.8270
Ru 6.8270 2.2757 2.2757
Ru 6.8270 2.2757 6.8270
Ru 6.8270 6.8270 2.2757
Ru 6.8270 6.8270 6.8270
```

Symmetry: No. 223
ΔH_f (0 K) (eV/atom): -0.440

=====

[2]
First-principles (GGA-PBE) data for crystalline DyGe2Ru2 at its relaxed geometry, as listed in the Materials Project database.

The structure in extended XYZ format:
```
5
Lattice="-2.1331 2.1331 4.9482 2.1331 -2.1331 4.9482 2.1331 2.1331 -4.9482" Properties=species:S:1:pos:R:3 pbc="T T T"
Dy 0.0000 0.0000 0.0000
Ge 0.0000 0.0000 3.6626
Ge 0.0000 0.0000 6.2337
Ru 2.1331 0.0000 2.4741
Ru 0.0000 2.1331 2.4741
```

Symmetry: No. 139
ΔH_f (0 K) (eV/atom): -0.650

=====

[3]
First-principles (GGA-PBE) data for crystalline Dy3Ge3Ru2 at its relaxed geometry, as listed in the Materials Project database.

The structure in extended XYZ format:
```
16
Lattice="2.1511 -5.4426 0.0000 2.1511 5.4426 0.0000 0.0000 0.0000 14.0158" Properties=species:S:1:pos:R:3 pbc="T T T"
Dy 2.1511 4.5918 8.5993
Dy 2.1511 4.5918 12.4245
Dy 2.1511 1.5984 10.5119
Dy 2.1511 -1.5984 3.5040
Dy 2.1511 -4.5918 1.5914
Dy 2.1511 -4.5918 5.4165
Ge 2.1511 1.7957 3.5040
Ge 2.1511 1.2723 7.5841
Ge 2.1511 1.2723 13.4396
Ge 2.1511 -1.2723 0.5762
Ge 2.1511 -1.2723 6.4317
Ge 2.1511 -1.7957 10.5119
Ru 2.1511 3.1203 1.1384
Ru 2.1511 3.1203 5.8695
Ru 2.1511 -3.1203 8.1463
Ru 2.1511 -3.1203 12.8774
```

Symmetry: No. 63
ΔH_f (0 K) (eV/atom): -0.774

=====

[4]
First-principles (GGA-PBE) data for crystalline DyGeRu at its relaxed geometry, as listed in the Materials Project database.

The structure in extended XYZ format:
```
12
Lattice="7.0526 0.0000 0.0000 0.0000 4.4346 0.0000 0.0000 0.0000 7.2524" Properties=species:S:1:pos:R:3 pbc="T T T"
Dy 0.1018 1.1087 1.3906
Dy 3.4245 3.3260 5.0168
Dy 3.6281 1.1087 2.2356
Dy 6.9508 3.3260 5.8618
Ge 1.4284 1.1087 4.3969
Ge 2.0979 3.3260 0.7706
Ge 4.9547 1.1087 6.4818
Ge 5.6243 3.3260 2.8556
Ru 1.0931 3.3260 3.1611
Ru 2.4333 1.1087 6.7874
Ru 4.6194 3.3260 0.4651
Ru 5.9596 1.1087 4.0913
```

Symmetry: No. 62
ΔH_f (0 K) (eV/atom): -0.721

=====

[5]
First-principles (GGA-PBE) data for crystalline Dy12Ge5S28 at its relaxed geometry, as listed in the Materials Project database.

The structure in extended XYZ format:
```
45
Lattice="9.8919 0.0000 0.0000 -4.9443 10.2920 0.0000 -4.9453 -3.9327 9.5180" Properties=species:S:1:pos:R:3 pbc="T T T"
Dy 0.0000 0.0000 0.0000
Dy -7.5917 3.2963 8.4139
Dy -4.6383 2.4846 5.4608
Dy 0.3914 4.1409 0.6750
Dy -1.6186 -0.6418 7.3134
Dy -4.2666 6.6205 6.1871
Dy 2.2605 -0.1499 3.5434
Dy -0.1699 3.2146 4.9799
Dy 0.1533 9.5508 0.5063
Dy 0.4810 7.3330 5.7111
Dy 5.7562 3.3511 1.2105
Dy 3.2918 6.7506 2.6142
Ge -2.1454 0.3840 3.8813
Ge -2.1197 6.7046 3.0761
Ge -2.1422 3.5845 8.6426
Ge 2.7969 3.2103 2.9653
Ge 2.7750 -0.3965 7.8196
S -3.7265 -0.1468 5.3671
S -5.6095 1.2627 7.8500
S -6.7332 7.4580 5.3213
S -3.8739 -1.8687 8.1635
S -2.4844 2.5830 3.5455
S -2.1439 5.4986 1.2467
S -5.3459 4.4381 7.3438
S -4.0621 7.7397 3.5171
S -2.5168 9.3010 0.7089
S 0.8176 1.8942 2.2815
S -0.2293 0.3362 5.0438
S -2.1404 2.2795 6.8750
S -1.8259 5.5705 4.9759
S -0.0233 -2.4092 8.5349
S 1.2361 6.9474 0.6273
S 3.1694 4.2174 0.7311
S -0.5083 8.2624 3.1685
S 1.1810 4.9916 3.3158
S -2.4698 5.7615 8.3071
S 2.8037 -1.6184 6.0130
S 4.4182 1.3555 2.6376
S 0.8997 0.7752 8.1767
S 2.4958 2.2323 5.1484
S 0.7045 4.9469 7.0006
S 4.6952 7.4206 0.3124
S 7.7437 -0.7459 2.0085
S 8.1198 2.3869 0.2022
S 4.7083 4.5515 3.6021
```

MP2020-corrected energy (eV/atom): -6.10
Symmetry: No. 1
ΔH_f (0 K) (eV/atom): -1.780

=====

[6]
First-principles (GGA-PBE) data for crystalline Dy5Ge2Sb2 at its relaxed geometry, as listed in the Materials Project database.

The structure in extended XYZ format:
```
18
Lattice="7.5746 -3.9523 0.0000 7.5746 3.9523 0.0000 0.0000 0.0000 7.9340" Properties=species:S:1:pos:R:3 pbc="T T T"
Dy 0.0000 0.0000 0.0000
Dy 5.6351 2.6492 5.2670
Dy 5.6351 1.3031 1.3000
Dy 9.5141 2.6492 5.2670
Dy 9.5141 1.3031 1.3000
Dy 7.5746 0.0000 3.9670
Dy 5.6351 -1.3031 6.6341
Dy 5.6351 -2.6492 2.6671
Dy 9.5141 -1.3031 6.6341
Dy 9.5141 -2.6492 2.6671
Ge 7.5746 2.8585 2.8783
Ge 7.5746 1.0938 6.8453
Ge 7.5746 -1.0938 1.0887
Ge 7.5746 -2.8585 5.0557
Sb 3.1047 0.0000 0.0000
Sb 4.4699 0.0000 3.9670
Sb 10.6792 0.0000 3.9670
Sb 12.0445 0.0000 0.0000
```

MP2020-corrected energy (eV/atom): -5.52
Symmetry: No. 64
ΔH_f (0 K) (eV/atom): -1.012

=====

[7]
First-principles (GGA-PBE) data for crystalline DySnGe at its relaxed geometry, as listed in the Materials Project database.

The structure in extended XYZ format:
```
6
Lattice="2.1269 -8.1677 0.0000 2.1269 8.1677 0.0000 0.0000 0.0000 4.1172" Properties=species:S:1:pos:R:3 pbc="T T T"
Dy 2.1269 6.6221 3.0879
Dy 2.1269 -6.6221 1.0293
Sn 2.1269 4.0753 1.0293
Sn 2.1269 -4.0753 3.0879
Ge 2.1269 0.8765 3.0879
Ge 2.1269 -0.8765 1.0293
```

Symmetry: No. 63
ΔH_f (0 K) (eV/atom): -0.627

=====

[8]
First-principles (GGA-PBE) data for crystalline DyTiGe at its relaxed geometry, as listed in the Materials Project database.

The structure in extended XYZ format:
```
6
Lattice="4.0520 0.0000 0.0000 0.0000 4.0520 0.0000 0.0000 0.0000 7.6698" Properties=species:S:1:pos:R:3 pbc="T T T"
Dy 1.0130 1.0130 1.2001
Dy 3.0390 3.0390 6.4698
Ti 1.0130 3.0390 3.8349
Ti 3.0390 1.0130 3.8349
Ge 1.0130 1.0130 5.7097
Ge 3.0390 3.0390 1.9602
```

Symmetry: No. 129
ΔH_f (0 K) (eV/atom): -0.689

=====

[9]
First-principles (GGA-PBE) data for crystalline Dy4Zn5Ge6 at its relaxed geometry, as listed in the Materials Project database.

The structure in extended XYZ format:
```
30
Lattice="2.1633 -9.2526 0.0000 2.1633 9.2526 0.0000 0.0000 0.0000 15.1928" Properties=species:S:1:pos:R:3 pbc="T T T"
Dy 2.1633 8.8934 7.5964
Dy 2.1633 8.6469 11.5847
Dy 2.1633 6.1535 4.6116
Dy 2.1633 6.0033 14.3458
Dy 2.1633 -6.0033 6.7494
Dy 2.1633 -6.1535 12.2080
Dy 2.1633 -8.6469 3.9884
Dy 2.1633 -8.8934 0.0000
Zn 2.1633 6.4629 9.5254
Zn 2.1633 3.6974 9.4837
Zn 2.1633 2.8479 4.1581
Zn 2.1633 2.7502 14.8928
Zn 2.1633 1.2070 10.4167
Zn 2.1633 -1.2070 2.8203
Zn 2.1633 -2.7502 7.2965
Zn 2.1633 -2.8479 11.7545
Zn 2.1633 -3.6974 1.8873
Zn 2.1633 -6.4629 1.9290
Ge 2.1633 7.1976 1.7796
Ge 2.1633 5.0991 7.3673
Ge 2.1633 5.0065 11.6339
Ge 2.1633 1.2814 6.1820
Ge 2.1633 1.2402 1.9568
Ge 2.1633 1.1000 12.9765
Ge 2.1633 -1.1000 5.3801
Ge 2.1633 -1.2402 9.5532
Ge 2.1633 -1.2814 13.7784
Ge 2.1633 -5.0065 4.0375
Ge 2.1633 -5.0991 14.9636
Ge 2.1633 -7.1976 9.3760
```

Symmetry: No. 36
ΔH_f (0 K) (eV/atom): -0.552

=====

[10]
First-principles (GGA-PBE) data for crystalline DyH4I3O11 at its relaxed geometry, as listed in the Materials Project database.

The structure in extended XYZ format:
```
38
Lattice="7.1332 0.0000 0.0000 -2.3734 7.1803 0.0000 -2.9943 -1.8041 10.2714" Properties=species:S:1:pos:R:3 pbc="T T T"
Dy -1.1519 2.4786 2.9524
Dy 2.9174 2.8976 7.3190
H -2.3062 0.2392 9.1278
H -1.4311 -1.0642 9.0054
H 0.3795 0.1042 3.7034
H 1.0431 0.2759 2.2583
H 0.7223 5.1003 8.0131
H 1.3860 5.2720 6.5680
H 3.1966 6.4404 1.2660
H 4.0717 5.1370 1.1436
I -0.0089 5.1368 0.5321
I -0.7761 1.4090 6.8097
I -1.5153 5.0247 5.7742
I 3.2807 0.3515 4.4972
I 2.5416 3.9672 3.4617
I 1.7744 0.2394 9.7393
O -1.4375 4.2322 1.2913
O -3.1869 4.8407 6.4831
O -3.8958 4.0327 9.3517
O -1.9116 4.4471 4.0725
O 0.4072 0.6851 2.9038
O -1.8390 2.6355 7.6787
O -1.3747 -0.0829 9.0303
O -0.5868 2.4161 5.2783
O 0.7579 -0.3495 5.4108
O 0.0644 6.6202 1.5678
O 0.9401 3.5778 2.6257
O 0.8254 1.7984 7.6457
O 1.7010 -1.2440 8.7036
O 1.0076 5.7257 4.8606
O 2.3523 2.9601 4.9931
O 3.1401 5.4590 1.2411
O 3.6045 2.7407 2.5926
O 1.3583 4.6911 7.3676
O 3.6771 0.9291 6.1988
O 5.6613 1.3435 0.9197
O 4.9524 0.5355 3.7883
O 3.2030 1.1440 8.9801
```

MP2020-corrected energy (eV/atom): -5.48
Symmetry: No. 2
ΔH_f (0 K) (eV/atom): -1.419

=====

[11]
First-principles (GGA-PBE) data for crystalline KDyP2H4O9 at its relaxed geometry, as listed in the Materials Project database.

The structure in extended XYZ format:
```
68
Lattice="7.7971 0.0000 0.0000 0.0000 10.7335 0.0000 -0.8746 0.0000 10.3306" Properties=species:S:1:pos:R:3 pbc="T T T"
K 1.6326 2.0251 3.2702
K 1.1952 3.3416 8.4355
K 5.7272 7.3919 1.8951
K 5.2899 8.7084 7.0604
Dy 1.8056 6.7043 1.6981
Dy 1.3683 9.3960 6.8634
Dy 5.5542 1.3375 3.4672
Dy 5.1169 4.0293 8.6325
P -0.0198 6.5954 8.6234
P 0.4175 9.5049 3.4581
P 2.8172 6.9257 9.0243
P 3.2545 9.1747 3.8590
P 3.6680 1.5589 6.4716
P 4.1053 3.8079 1.3063
P 6.5050 1.2287 6.8725
P 6.9423 4.1381 1.7072
H 0.4175 2.2024 0.3597
H -0.0198 3.1644 5.5250
H 0.8914 5.7786 4.4210
H 0.4541 10.3217 9.5863
H 1.8226 1.4846 0.1531
H 1.3853 3.8822 5.3184
H 2.1429 6.7022 4.6880
H 1.7056 9.3981 9.8533
H 5.2169 1.3355 0.4773
H 4.7796 4.0313 5.6426
H 5.5372 6.8513 5.0122
H 5.0999 9.2490 10.1775
H 6.4684 0.4119 0.7443
H 6.0311 4.9549 5.9096
H 6.9422 7.5692 4.8056
H 6.5049 8.5311 9.9709
O -0.4381 0.0274 7.2242
O -0.0008 5.3394 2.0589
O -0.2609 7.1178 10.0567
O -0.0464 7.7142 7.5805
O 0.3910 8.3861 2.4152
O 0.1765 8.9825 4.8914
O 0.9589 1.3999 0.5924
O 0.5216 3.9669 5.7577
O 1.7766 6.0285 4.0800
O 1.3393 10.0718 9.2453
O 1.5155 6.0012 8.6194
O 1.9528 10.0992 3.4541
O 2.4840 0.6129 6.5964
O 2.9214 4.7539 1.4311
O 3.4409 7.4361 0.1220
O 3.0036 8.6642 5.2873
O 3.3023 8.0236 2.8508
O 2.8650 8.0767 8.0161
O 4.0575 2.6569 2.3145
O 3.6201 2.7099 7.4798
O 3.9189 2.0694 5.0433
O 3.4816 3.2974 10.2086
O 4.0011 5.9797 8.8995
O 4.4384 10.1206 3.7342
O 4.9697 0.6344 6.8765
O 5.4070 4.7324 1.7112
O 5.5832 0.6617 1.0853
O 5.1459 4.7050 6.2506
O 6.4009 6.7666 4.5729
O 5.9636 9.3337 9.7382
O 6.7460 1.7510 5.4392
O 6.5315 2.3474 7.9154
O 6.9688 3.0193 2.7501
O 7.1833 3.6157 0.2739
O 6.9233 5.3941 8.2717
O 7.3606 10.7062 3.1064
```

MP2020-corrected energy (eV/atom): -6.84
Symmetry: No. 14
ΔH_f (0 K) (eV/atom): -2.445

=====

[12]
First-principles (GGA-PBE) data for crystalline DyP3H6O6 at its relaxed geometry, as listed in the Materials Project database.

The structure in extended XYZ format:
```
32
Lattice="7.6044 -2.9083 0.0000 7.6044 2.9083 0.0000 -6.6509 0.0000 10.6013" Properties=species:S:1:pos:R:3 pbc="T T T"
Dy 0.0000 0.0000 0.0000
Dy -3.3254 0.0000 5.3006
P -3.2944 0.0000 9.0255
P 2.2286 0.0000 4.4171
P 1.0175 0.0000 8.3931
P 7.5405 0.0000 2.2081
P 6.3294 0.0000 6.1841
P 11.8523 0.0000 1.5758
H -2.4668 1.1124 9.3240
H 0.8160 0.0000 4.3823
H 2.5925 0.0000 3.0499
H 0.4801 0.0000 7.0876
H -2.4668 -1.1124 9.3240
H 2.4204 0.0000 8.2045
H 6.1375 0.0000 2.3968
H 11.0247 1.1124 1.2773
H 8.0778 0.0000 3.5137
H 5.9654 0.0000 7.5514
H 7.7420 0.0000 6.2190
H 11.0247 -1.1124 1.2773
O -3.6073 0.0000 7.5420
O -4.4659 0.0000 9.9998
O 2.6973 1.2988 5.0566
O 0.6056 1.2972 9.0706
O 7.9523 1.2972 1.5307
O 5.8607 1.2988 5.5447
O 2.6973 -1.2988 5.0566
O 0.6056 -1.2972 9.0706
O 7.9523 -1.2972 1.5307
O 5.8607 -1.2988 5.5447
O 13.0238 0.0000 0.6015
O 12.1652 0.0000 3.0592
```

MP2020-corrected energy (eV/atom): -6.18
Symmetry: No. 12
ΔH_f (0 K) (eV/atom): -1.746